Record 1
ScGaPt, relaxed, DFT PBE; crystal system = orthorhombic; ΔH_f (0 K) = -1.05 eV per atom; SG = Pnma, No. 62; mass density = 9.7 g/cm³
1.0
4.347 0.000 0.000
0.000 6.507 0.000
0.000 0.000 7.532
Sc Ga Pt
4 4 4
Direct
0.250 0.023 0.313
0.250 0.523 0.187
0.750 0.977 0.687
0.750 0.477 0.813
0.250 0.161 0.937
0.250 0.661 0.563
0.750 0.839 0.063
0.750 0.339 0.437
0.250 0.262 0.612
0.250 0.762 0.888
0.750 0.738 0.388
0.750 0.238 0.112

=====

Record 2
ScGaPt2, relaxed, DFT PBE; crystal system = cubic; ΔH_f (0 K) = -0.96 eV per atom; SG = Fm-3m, No. 225; mass density = 12.7 g/cm³
1.0
0.759 -3.995 -2.019
1.121 -3.627 2.491
-2.961 -3.403 0.516
Sc Ga Pt
1 1 2
Direct
0.000 0.000 0.000
0.500 0.500 0.500
0.250 0.250 0.250
0.750 0.750 0.750

=====

Record 3
SmGaPt, relaxed, DFT PBE; crystal system = orthorhombic; ΔH_f (0 K) = -1.06 eV per atom; SG = Pnma, No. 62; mass density = 11.2 g/cm³
1.0
-3.582 -2.217 1.506
4.196 -5.054 2.540
0.491 3.823 6.794
Sm Ga Pt
4 4 4
Direct
0.250 0.985 0.301
0.250 0.485 0.199
0.750 0.015 0.699
0.750 0.515 0.801
0.250 0.328 0.573
0.250 0.828 0.927
0.750 0.672 0.427
0.750 0.172 0.073
0.250 0.223 0.902
0.250 0.723 0.598
0.750 0.777 0.098
0.750 0.277 0.402

=====

Record 4
SmGa3Pt, relaxed, DFT PBE; crystal system = tetragonal; ΔH_f (0 K) = -0.72 eV per atom; SG = I-4m2, No. 119; mass density = 9.7 g/cm³
1.0
4.928 3.680 0.873
-0.206 5.240 3.330
-1.659 -5.977 0.330
Sm Ga Pt
1 3 1
Direct
0.000 0.000 0.000
0.612 0.612 0.000
0.388 0.388 0.000
0.750 0.250 0.500
0.250 0.750 0.500

=====

Record 5
TaGaPt, relaxed, DFT PBE; crystal system = cubic; ΔH_f (0 K) = -0.05 eV per atom; SG = F-43m, No. 216; mass density = 12.8 g/cm³
1.0
0.000 3.073 3.073
3.073 0.000 3.073
3.073 3.073 0.000
Ta Ga Pt
1 1 1
Direct
0.250 0.250 0.250
0.000 0.000 0.000
0.500 0.500 0.500

=====

Record 6
Tb6Ga19Pt3, relaxed, DFT PBE; crystal system = monoclinic; ΔH_f (0 K) = -0.63 eV per atom; SG = Cm, No. 8; mass density = 9.0 g/cm³
1.0
-2.807 -3.117 -0.632
-2.481 6.127 -4.965
9.942 -10.107 -8.543
Tb Ga Pt
6 19 3
Direct
0.251 0.749 0.248
0.751 0.252 0.749
0.408 0.229 0.413
0.913 0.735 0.910
0.086 0.263 0.090
0.590 0.770 0.590
0.174 0.803 0.456
0.682 0.317 0.953
0.316 0.672 0.041
0.824 0.195 0.547
0.456 0.097 0.185
0.957 0.590 0.676
0.043 0.413 0.327
0.548 0.915 0.818
0.725 0.555 0.106
0.230 0.065 0.604
0.767 0.934 0.399
0.272 0.433 0.889
0.605 0.441 0.232
0.107 0.944 0.729
0.892 0.058 0.274
0.398 0.565 0.770
0.508 0.008 0.993
0.999 0.499 0.501
0.889 0.888 0.109
0.391 0.392 0.611
0.609 0.607 0.390
0.110 0.111 0.892

=====

Record 7
Ti6Ga16Pt7, relaxed, DFT PBE; crystal system = cubic; ΔH_f (0 K) = -0.54 eV per atom; SG = Fm-3m, No. 225; mass density = 9.8 g/cm³
1.0
0.000 6.175 6.175
6.175 0.000 6.175
6.175 6.175 0.000
Ti Ga Pt
6 16 7
Direct
0.679 0.679 0.321
0.321 0.679 0.321
0.679 0.321 0.321
0.321 0.321 0.679
0.679 0.321 0.679
0.321 0.679 0.679
0.879 0.879 0.364
0.879 0.364 0.879
0.364 0.879 0.879
0.879 0.879 0.879
0.121 0.121 0.636
0.121 0.636 0.121
0.636 0.121 0.121
0.121 0.121 0.121
0.654 0.654 0.037
0.654 0.037 0.654
0.037 0.654 0.654
0.654 0.654 0.654
0.346 0.346 0.963
0.346 0.963 0.346
0.963 0.346 0.346
0.346 0.346 0.346
0.000 0.000 0.000
0.000 0.000 0.500
0.500 0.000 0.500
0.000 0.500 0.500
0.500 0.500 0.000
0.000 0.500 0.000
0.500 0.000 0.000

=====

Record 8
TmGaPt, relaxed, DFT PBE; crystal system = orthorhombic; ΔH_f (0 K) = -1.11 eV per atom; SG = Pnma, No. 62; mass density = 12.5 g/cm³
1.0
4.424 0.000 0.000
0.000 6.813 0.000
0.000 0.000 7.668
Tm Ga Pt
4 4 4
Direct
0.250 0.986 0.302
0.250 0.486 0.198
0.750 0.014 0.698
0.750 0.514 0.802
0.250 0.327 0.574
0.250 0.827 0.926
0.750 0.673 0.426
0.750 0.173 0.074
0.250 0.226 0.901
0.250 0.726 0.599
0.750 0.774 0.099
0.750 0.274 0.401

=====

Q: Number 5 is which compound?
A: TaGaPt

=====

Copy entry 7 word for word.
Ti6Ga16Pt7, relaxed, DFT PBE; crystal system = cubic; ΔH_f (0 K) = -0.54 eV per atom; SG = Fm-3m, No. 225; mass density = 9.8 g/cm³
1.0
0.000 6.175 6.175
6.175 0.000 6.175
6.175 6.175 0.000
Ti Ga Pt
6 16 7
Direct
0.679 0.679 0.321
0.321 0.679 0.321
0.679 0.321 0.321
0.321 0.321 0.679
0.679 0.321 0.679
0.321 0.679 0.679
0.879 0.879 0.364
0.879 0.364 0.879
0.364 0.879 0.879
0.879 0.879 0.879
0.121 0.121 0.636
0.121 0.636 0.121
0.636 0.121 0.121
0.121 0.121 0.121
0.654 0.654 0.037
0.654 0.037 0.654
0.037 0.654 0.654
0.654 0.654 0.654
0.346 0.346 0.963
0.346 0.963 0.346
0.963 0.346 0.346
0.346 0.346 0.346
0.000 0.000 0.000
0.000 0.000 0.500
0.500 0.000 0.500
0.000 0.500 0.500
0.500 0.500 0.000
0.000 0.500 0.000
0.500 0.000 0.000

=====

Q: Which value of mass density does entry 3 give?
A: 11.2 g/cm³

=====

Q: mass density of number 4 (SmGa3Pt)?
A: 9.7 g/cm³